1.
# Ce2InGe2 | Materials Project | GGA-PBE | relaxed
# - DFT total energy (eV per atom) = -5.419
# - ρ (g/cm3) = 7.3
# - E_form (meV per atom) = -646
data_Ce2InGe2
_space_group_name_H-M_alt 'P 4/m b m'
_space_group_IT_number 127
_space_group_name_Hall '-P 4 2ab'
_cell_length_a 7.495
_cell_length_b 7.495
_cell_length_c 4.365
_cell_angle_alpha 90.00
_cell_angle_beta 90.00
_cell_angle_gamma 90.00
loop_
_atom_site_label
_atom_site_type_symbol
_atom_site_fract_x
_atom_site_fract_y
_atom_site_fract_z
_atom_site_occupancy
Ce1 Ce 0.180 0.320 0.000 1
In1 In 0.000 0.000 0.500 1
Ge1 Ge 0.120 0.620 0.500 1



2.
# Ce3Ge13Ir4 | Materials Project | GGA-PBE | relaxed
# - magnetization (μB/atom) = 0.026
# - DFT total energy (eV per atom) = -6.189
# - ρ (g/cm3) = 9.4
# - E_form (meV per atom) = -527
data_Ce3Ge13Ir4
_space_group_name_H-M_alt 'P m -3 n'
_space_group_IT_number 223
_space_group_name_Hall '-P 4n 2 3'
_cell_length_a 9.088
_cell_length_b 9.088
_cell_length_c 9.088
_cell_angle_alpha 90.00
_cell_angle_beta 90.00
_cell_angle_gamma 90.00
loop_
_atom_site_label
_atom_site_type_symbol
_atom_site_fract_x
_atom_site_fract_y
_atom_site_fract_z
_atom_site_occupancy
Ce1 Ce 0.000 0.250 0.500 1
Ge1 Ge 0.000 0.000 0.000 1
Ge2 Ge 0.000 0.309 0.145 1
Ir1 Ir 0.250 0.250 0.250 1